# 1
## VCo5AsO10 (PBE+U)

Data for a relaxed structure of VCo5AsO10.

Output
Energy with MP2020 corrections (eV per atom): -7.44
Space-group type: C2/m, No. 12
Formation energy (meV/atom): -1632

a b c (Å): 10.150 10.150 14.732
angles (deg): 62.42 62.42 35.32
Fractional positions:
O: 0.917 0.384 0.656
O: 0.628 0.063 0.841
O: 0.693 0.693 0.456
O: 0.464 0.039 0.236
O: 0.993 0.993 0.255
O: 0.961 0.536 0.764
O: 0.215 0.215 0.447
O: 0.102 0.102 0.844
O: 0.039 0.464 0.236
O: 0.316 0.788 0.544
O: 0.937 0.372 0.159
O: 0.212 0.676 0.945
O: 0.788 0.316 0.544
O: 0.711 0.711 0.938
O: 0.007 0.007 0.745
O: 0.410 0.410 0.145
O: 0.107 0.107 0.332
O: 0.083 0.616 0.344
O: 0.805 0.805 0.051
O: 0.684 0.212 0.456
O: 0.289 0.289 0.062
O: 0.324 0.788 0.055
O: 0.398 0.398 0.651
O: 0.212 0.684 0.456
O: 0.893 0.893 0.668
O: 0.788 0.324 0.055
O: 0.898 0.898 0.156
O: 0.511 0.511 0.243
O: 0.489 0.489 0.757
O: 0.372 0.937 0.159
O: 0.536 0.961 0.764
O: 0.195 0.195 0.949
O: 0.676 0.212 0.945
O: 0.616 0.083 0.344
O: 0.307 0.307 0.544
O: 0.063 0.628 0.841
O: 0.384 0.917 0.656
O: 0.602 0.602 0.349
O: 0.590 0.590 0.855
O: 0.785 0.785 0.553
Co: 0.294 0.791 0.309
Co: 0.112 0.112 0.464
Co: 0.209 0.706 0.691
Co: 0.706 0.209 0.691
Co: 0.791 0.294 0.309
Co: 0.393 0.889 0.902
Co: 0.093 0.093 0.103
Co: 0.705 0.705 0.206
Co: 0.607 0.111 0.098
Co: 0.000 0.500 0.500
Co: 0.888 0.888 0.536
Co: 0.111 0.607 0.098
Co: 0.500 0.000 0.000
Co: 0.000 0.500 0.000
Co: 0.889 0.393 0.902
Co: 0.295 0.295 0.794
Co: 0.907 0.907 0.897
Co: 0.691 0.691 0.702
Co: 0.500 0.000 0.500
Co: 0.309 0.309 0.298
As: 0.799 0.799 0.798
As: 0.201 0.201 0.202
As: 0.106 0.106 0.723
As: 0.894 0.894 0.277
V: 0.491 0.491 0.874
V: 0.400 0.400 0.527
V: 0.600 0.600 0.473
V: 0.509 0.509 0.126

***

# 2
## CsCrAs2O7 (PBE+U)

Data for a relaxed structure of CsCrAs2O7.

Output
Energy with MP2020 corrections (eV per atom): -6.92
Space-group type: P2_1/c, No. 14
Formation energy (meV/atom): -1967

a b c (Å): 10.318 8.100 8.896
angles (deg): 73.97 90.00 90.00
Fractional positions:
Cr: 0.399 0.259 0.764
Cr: 0.601 0.741 0.236
Cr: 0.899 0.741 0.736
Cr: 0.101 0.259 0.264
O: 0.242 0.406 0.758
O: 0.919 0.653 0.968
O: 0.258 0.406 0.258
O: 0.287 0.059 0.751
O: 0.758 0.594 0.242
O: 0.073 0.867 0.722
O: 0.581 0.653 0.468
O: 0.006 0.480 0.275
O: 0.081 0.347 0.032
O: 0.742 0.594 0.742
O: 0.103 0.203 0.502
O: 0.419 0.347 0.532
O: 0.573 0.133 0.778
O: 0.506 0.520 0.225
O: 0.603 0.797 0.998
O: 0.897 0.797 0.498
O: 0.397 0.203 0.002
O: 0.035 0.167 0.810
O: 0.465 0.167 0.310
O: 0.494 0.480 0.775
O: 0.213 0.059 0.251
O: 0.965 0.833 0.190
O: 0.427 0.867 0.222
O: 0.787 0.941 0.749
O: 0.535 0.833 0.690
O: 0.713 0.941 0.249
O: 0.994 0.520 0.725
O: 0.927 0.133 0.278
As: 0.408 0.366 0.340
As: 0.592 0.634 0.660
As: 0.370 0.072 0.184
As: 0.130 0.072 0.684
As: 0.092 0.366 0.840
As: 0.908 0.634 0.160
As: 0.630 0.928 0.816
As: 0.870 0.928 0.316
Cs: 0.805 0.319 0.544
Cs: 0.695 0.319 0.044
Cs: 0.305 0.681 0.956
Cs: 0.195 0.681 0.456

***

# 3
## K2Cr2AsHO10 (PBE+U)

Data for a relaxed structure of K2Cr2AsHO10.

Output
Excess energy over the best structure of this formula in the dataset (meV per atom): 0
Energy with MP2020 corrections (eV per atom): -6.73
Space-group type: P3_2, No. 145
Formation energy (meV/atom): -1794

a b c (Å): 7.844 7.844 14.746
angles (deg): 90.00 90.00 120.00
Fractional positions:
O: 0.833 0.645 0.881
O: 0.150 0.811 0.498
O: 0.905 0.991 0.069
O: 0.490 0.091 0.835
O: 0.660 0.850 0.831
O: 0.017 0.953 0.243
O: 0.140 0.748 0.008
O: 0.468 0.591 0.532
O: 0.401 0.233 0.044
O: 0.409 0.877 0.198
O: 0.937 0.983 0.576
O: 0.909 0.399 0.502
O: 0.443 0.586 0.023
O: 0.047 0.063 0.910
O: 0.414 0.857 0.690
O: 0.626 0.482 0.666
O: 0.812 0.167 0.215
O: 0.767 0.169 0.710
O: 0.123 0.532 0.865
O: 0.189 0.340 0.165
O: 0.009 0.914 0.736
O: 0.608 0.860 0.342
O: 0.086 0.095 0.402
O: 0.355 0.188 0.548
O: 0.518 0.144 0.332
O: 0.601 0.510 0.168
O: 0.252 0.392 0.675
O: 0.143 0.557 0.357
O: 0.831 0.599 0.377
O: 0.856 0.374 0.999
As: 0.980 0.104 0.169
As: 0.896 0.876 0.836
As: 0.124 0.020 0.502
K: 0.021 0.567 0.680
K: 0.609 0.006 0.519
K: 0.433 0.454 0.347
K: 0.546 0.979 0.013
K: 0.397 0.391 0.852
K: 0.994 0.603 0.186
H: 0.034 0.998 0.311
H: 0.002 0.037 0.977
H: 0.963 0.966 0.644
Cr: 0.580 0.997 0.764
Cr: 0.995 0.571 0.940
Cr: 0.417 0.420 0.097
Cr: 0.429 0.424 0.607
Cr: 0.003 0.583 0.430
Cr: 0.576 0.005 0.274

***

# 4
## K2Cr2AsHO10 (PBE+U)

Data for a relaxed structure of K2Cr2AsHO10.

Output
Excess energy over the best structure of this formula in the dataset (meV per atom): 0
Energy with MP2020 corrections (eV per atom): -6.73
Space-group type: P3_1, No. 144
Formation energy (meV/atom): -1794

a b c (Å): 7.871 7.871 14.649
angles (deg): 90.00 90.00 120.00
Fractional positions:
As: 0.106 0.980 0.501
As: 0.020 0.126 0.835
As: 0.874 0.894 0.168
O: 0.598 0.832 0.709
O: 0.509 0.600 0.502
O: 0.847 0.659 0.162
O: 0.168 0.811 0.545
O: 0.977 0.943 0.912
O: 0.857 0.413 0.023
O: 0.144 0.521 0.666
O: 0.189 0.357 0.878
O: 0.587 0.443 0.357
O: 0.862 0.610 0.674
O: 0.531 0.122 0.198
O: 0.168 0.766 0.042
O: 0.400 0.909 0.835
O: 0.878 0.409 0.531
O: 0.988 0.898 0.402
O: 0.377 0.856 0.333
O: 0.234 0.402 0.376
O: 0.643 0.832 0.212
O: 0.591 0.469 0.864
O: 0.749 0.138 0.341
O: 0.057 0.034 0.245
O: 0.341 0.188 0.496
O: 0.102 0.090 0.736
O: 0.557 0.143 0.690
O: 0.812 0.153 0.829
O: 0.910 0.012 0.069
O: 0.479 0.623 0.999
O: 0.091 0.491 0.169
O: 0.966 0.023 0.578
O: 0.390 0.251 0.007
Cr: 0.422 0.428 0.939
Cr: 0.997 0.579 0.097
Cr: 0.421 0.418 0.430
Cr: 0.006 0.578 0.606
Cr: 0.582 0.003 0.763
Cr: 0.572 0.994 0.273
K: 0.605 0.994 0.519
K: 0.006 0.611 0.853
K: 0.980 0.544 0.347
K: 0.564 0.020 0.013
K: 0.389 0.395 0.186
K: 0.456 0.436 0.680
H: 0.952 0.970 0.981
H: 0.017 0.048 0.647
H: 0.030 0.983 0.314